Record 1
Computed, not measured: an optimized crystal structure of Ba3CaRu2O9 at the PBE-GGA level of DFT.

Cell lengths 5.9019, 5.9019, 7.2860 Å; angles 90.00, 90.00, 120.00 degrees
Positions (direct):
Ba1 0.0000 0.0000 0.0000
Ba2 0.3333 0.6667 0.6770
Ba3 0.6667 0.3333 0.3230
Ca1 0.0000 0.0000 0.5000
Ru1 0.3333 0.6667 0.1658
Ru2 0.6667 0.3333 0.8342
O1 0.0000 0.5000 0.0000
O2 0.1784 0.3568 0.3135
O3 0.1784 0.8216 0.3135
O4 0.3568 0.1784 0.6865
O5 0.5000 0.0000 0.0000
O6 0.5000 0.5000 0.0000
O7 0.6432 0.8216 0.3135
O8 0.8216 0.1784 0.6865
O9 0.8216 0.6432 0.6865

Output
E_form = -2462 meV/atom
Mass density = 6.0 g/cm³
Total energy after the MP2020 corrections = -0.52808 Ry/atom
Space-group type = P-3m1, No. 164
Energy relative to the lowest polymorph listed for this composition = 22 kJ/mol of formula units

---

Record 2
Computed, not measured: an optimized crystal structure of Te2AuCl at the PBE-GGA level of DFT.

Cell lengths 4.1320, 12.3723, 8.8060 Å; angles 90.00, 90.00, 90.00 degrees
Positions (direct):
Te1 0.0000 0.1077 0.0504
Te2 0.0000 0.1077 0.4496
Te3 0.0000 0.8923 0.5504
Te4 0.0000 0.8923 0.9496
Te5 0.5000 0.3923 0.5504
Te6 0.5000 0.3923 0.9496
Te7 0.5000 0.6077 0.0504
Te8 0.5000 0.6077 0.4496
Au1 0.0000 0.4142 0.7500
Au2 0.0000 0.5858 0.2500
Au3 0.5000 0.0858 0.2500
Au4 0.5000 0.9142 0.7500
Cl1 0.0000 0.3316 0.2500
Cl2 0.0000 0.6684 0.7500
Cl3 0.5000 0.1684 0.7500
Cl4 0.5000 0.8316 0.2500

Output
E_form = -410 meV/atom
Mass density = 7.2 g/cm³
Total energy after the MP2020 corrections = -0.23974 Ry/atom
Space-group type = Cmcm, No. 63

---

Record 3
Computed, not measured: an optimized crystal structure of CuC6 at the PBE-GGA level of DFT.

Cell lengths 5.1406, 9.6266, 4.9758 Å; angles 90.00, 90.00, 90.00 degrees
Positions (direct):
Cu1 0.0000 0.0000 0.0000
Cu2 0.5000 0.5000 0.0000
C1 0.0000 0.0000 0.3742
C2 0.0000 0.0000 0.6258
C3 0.1302 0.2378 0.0000
C4 0.1302 0.7622 0.0000
C5 0.3698 0.2622 0.0000
C6 0.3698 0.7378 0.0000
C7 0.5000 0.5000 0.3742
C8 0.5000 0.5000 0.6258
C9 0.6302 0.2622 0.0000
C10 0.6302 0.7378 0.0000
C11 0.8698 0.2378 0.0000
C12 0.8698 0.7622 0.0000

Output
E_form = 1332 meV/atom
Mass density = 1.8 g/cm³
Space-group type = Cmmm, No. 65

---

Record 4
Computed, not measured: an optimized crystal structure of Na3SnPCO7 at the PBE-GGA level of DFT.

Cell lengths 5.2964, 7.1706, 9.4308 Å; angles 90.00, 92.06, 90.00 degrees
Positions (direct):
Na1 0.2223 0.2500 0.4172
Na2 0.2402 0.5043 0.7498
Na3 0.2402 0.9957 0.7498
Na4 0.7598 0.0043 0.2502
Na5 0.7598 0.4957 0.2502
Na6 0.7777 0.7500 0.5828
Sn1 0.2358 0.7500 0.1289
Sn2 0.7642 0.2500 0.8711
P1 0.2767 0.2500 0.1050
P2 0.7233 0.7500 0.8950
C1 0.2675 0.7500 0.4455
C2 0.7325 0.2500 0.5545
O1 0.0554 0.7500 0.3680
O2 0.1701 0.0772 0.1841
O3 0.1701 0.4228 0.1841
O4 0.1909 0.2500 0.9426
O5 0.2572 0.7500 0.5817
O6 0.4317 0.7500 0.8832
O7 0.4848 0.7500 0.3842
O8 0.5152 0.2500 0.6158
O9 0.5683 0.2500 0.1168
O10 0.7428 0.2500 0.4183
O11 0.8091 0.7500 0.0574
O12 0.8299 0.5772 0.8159
O13 0.8299 0.9228 0.8159
O14 0.9446 0.2500 0.6320

Output
E_form = -2233 meV/atom
Mass density = 3.2 g/cm³
Total energy after the MP2020 corrections = -0.48780 Ry/atom
Space-group type = P2_1/m, No. 11
Energy relative to the lowest polymorph listed for this composition = 0 kJ/mol of formula units

---

Record 5
Computed, not measured: an optimized crystal structure of NdCu at the PBE-GGA level of DFT.

Cell lengths 7.4053, 4.5564, 5.5850 Å; angles 90.00, 90.00, 90.00 degrees
Positions (direct):
Nd1 0.1798 0.2500 0.1253
Nd2 0.3202 0.7500 0.6253
Nd3 0.6798 0.2500 0.3747
Nd4 0.8202 0.7500 0.8747
Cu1 0.0332 0.2500 0.6177
Cu2 0.4668 0.7500 0.1177
Cu3 0.5332 0.2500 0.8823
Cu4 0.9668 0.7500 0.3823

Output
E_form = -183 meV/atom
Mass density = 7.3 g/cm³
Space-group type = Pnma, No. 62

---

Record 6
Computed, not measured: an optimized crystal structure of Li17Ag3Sn6 at the PBE-GGA level of DFT.

Cell lengths 8.0728, 8.0728, 8.5290 Å; angles 90.00, 90.00, 120.00 degrees
Positions (direct):
Li1 0.0000 0.0000 0.0250
Li2 0.0000 0.2988 0.4977
Li3 0.0000 0.3100 0.8175
Li4 0.0000 0.6484 0.0000
Li5 0.0000 0.6548 0.3225
Li6 0.2988 0.0000 0.4977
Li7 0.3100 0.0000 0.8175
Li8 0.3333 0.6667 0.5070
Li9 0.3333 0.6667 0.8350
Li10 0.3452 0.3452 0.3225
Li11 0.3516 0.3516 0.0000
Li12 0.6484 0.0000 0.0000
Li13 0.6548 0.0000 0.3225
Li14 0.6667 0.3333 0.5070
Li15 0.6667 0.3333 0.8350
Li16 0.6900 0.6900 0.8175
Li17 0.7012 0.7012 0.4977
Ag1 0.0000 0.0000 0.6729
Ag2 0.3333 0.6667 0.1688
Ag3 0.6667 0.3333 0.1688
Sn1 0.0000 0.3153 0.1584
Sn2 0.0000 0.6455 0.6636
Sn3 0.3153 0.0000 0.1584
Sn4 0.3545 0.3545 0.6636
Sn5 0.6455 0.0000 0.6636
Sn6 0.6847 0.6847 0.1584

Output
E_form = -360 meV/atom
Mass density = 4.0 g/cm³
Space-group type = P31m, No. 157

---

Record 7
Computed, not measured: an optimized crystal structure of CoSbTe at the PBE-GGA level of DFT.

Cell lengths 5.3169, 3.8212, 6.2603 Å; angles 90.00, 91.25, 90.00 degrees
Positions (direct):
Co1 0.0000 0.0000 0.0000
Co2 0.5000 0.5000 0.5000
Sb1 0.2187 0.0000 0.6378
Sb2 0.7813 0.0000 0.3622
Te1 0.2746 0.5000 0.1431
Te2 0.7254 0.5000 0.8569

Output
E_form = -343 meV/atom
Mass density = 8.1 g/cm³
Total energy after the MP2020 corrections = -0.37752 Ry/atom
Space-group type = P2/m, No. 10

---

Record 8
Computed, not measured: an optimized crystal structure of NaPtN at the PBE-GGA level of DFT.

Cell lengths 3.0679, 3.0679, 10.6822 Å; angles 90.00, 90.00, 120.00 degrees
Positions (direct):
Na1 0.3333 0.6667 0.0000
Na2 0.6667 0.3333 0.5000
Pt1 0.0000 0.0000 0.2438
Pt2 0.0000 0.0000 0.7438
N1 0.3333 0.6667 0.3397
N2 0.6667 0.3333 0.8397

Output
E_form = 168 meV/atom
Mass density = 8.9 g/cm³
Total energy after the MP2020 corrections = -0.37304 Ry/atom
Space-group type = P6_3mc, No. 186